(1)
Material: SmMnO3
Method: DFT, GGA+U
State: optimized geometry

a = 3.8951 Å, b = 3.8951 Å, c = 3.8951 Å
α = 90.00°, β = 90.00°, γ = 90.00°
Last column: nearest neighbours and their distance in Å.
Space group Pm-3m (No. 221)
Asymmetric unit:
Sm: 0.0000 0.0000 0.0000 (multiplicity 1)  12 O 2.75
Mn: 0.5000 0.5000 0.5000 (multiplicity 1)  6 O 1.95
O: 0.0000 0.5000 0.5000 (multiplicity 3)  2 Mn 1.95


(2)
Material: SrSmMnSnO6
Method: DFT, GGA+U
State: optimized geometry

a = 8.0278 Å, b = 8.0278 Å, c = 8.0278 Å
α = 90.00°, β = 90.00°, γ = 90.00°
Last column: nearest neighbours and their distance in Å.
Space group F-43m (No. 216)
Asymmetric unit:
Sr: 0.0000 0.0000 0.0000 (multiplicity 4)  12 O 2.84
Sm: 0.0000 0.0000 0.5000 (multiplicity 4)  12 O 2.84
Mn: 0.2500 0.2500 0.2500 (multiplicity 4)  6 O 1.98
Sn: 0.2500 0.2500 0.7500 (multiplicity 4)  6 O 2.03
O: 0.0033 0.2500 0.2500 (multiplicity 24)  1 Mn 1.98, 1 Sn 2.03


(3)
Material: SrSmMn2O6
Method: DFT, GGA+U
State: optimized geometry

a = 7.7254 Å, b = 5.5404 Å, c = 5.5395 Å
α = 90.00°, β = 90.00°, γ = 90.00°
Last column: nearest neighbours and their distance in Å.
Space group Pmn2_1 (No. 31)
Asymmetric unit:
Sr: 0.0000 0.2338 0.0000 (multiplicity 2)  6 O 2.47-2.69
Sm: 0.0000 0.7134 0.4844 (multiplicity 2)  6 O 2.38-2.49
Mn: 0.2494 0.7545 0.9977 (multiplicity 4)  6 O 1.97-2.00
O: 0.0000 0.2702 0.5550 (multiplicity 2)  2 Mn 1.97
O: 0.0000 0.7561 0.9116 (multiplicity 2)  2 Mn 1.98
O: 0.2081 0.9671 0.2819 (multiplicity 4)  2 Mn 1.98-1.99
O: 0.2140 0.4881 0.2366 (multiplicity 4)  2 Mn 1.99-2.00


Number 1: E_tot -38.954 eV/cell, formation energy -2.792 eV/atom. Number 2: E_tot -278.395 eV/cell, formation energy -2.612 eV/atom. Number 3: E_tot -148.718 eV/cell, formation energy -2.740 eV/atom.